(1)
VASP calculation (PBE) on a relaxed structure of Mg2Cd. Values from VASP.

Geometry as Quantum ESPRESSO input:
```
&SYSTEM
  ibrav = 0, nat = 6, ntyp = 2
/
ATOMIC_SPECIES
Mg 24.30 Mg.upf
Cd 112.41 Cd.upf
CELL_PARAMETERS angstrom
2.649 4.785 0.000
-2.649 4.785 0.000
0.000 3.369 5.208
ATOMIC_POSITIONS crystal
Mg 0.249 0.416 0.751
Mg 0.584 0.751 0.749
Mg 0.416 0.249 0.251
Mg 0.751 0.584 0.249
Cd 0.085 0.915 0.250
Cd 0.915 0.085 0.750
```

Output
As for the crystal system: monoclinic. Its space group is C2/c.

=====

(2)
VASP calculation (PBE) on a relaxed structure of TiCrAgS4. Values from VASP.

Geometry as Quantum ESPRESSO input:
```
&SYSTEM
  ibrav = 0, nat = 28, ntyp = 4
/
ATOMIC_SPECIES
Ti 47.87 Ti.upf
Cr 52.00 Cr.upf
Ag 107.87 Ag.upf
S 32.06 S.upf
CELL_PARAMETERS angstrom
6.496 0.000 0.000
-0.011 7.604 0.000
-0.956 -1.856 12.841
ATOMIC_POSITIONS crystal
Ti 0.148 0.704 0.286
Ti 0.766 0.103 0.001
Ti 0.238 0.900 0.997
Ti 0.363 0.553 0.716
Cr 0.841 0.299 0.722
Cr 0.633 0.444 0.279
Cr 0.634 0.948 0.286
Cr 0.369 0.057 0.713
Ag 0.883 0.805 0.696
Ag 0.107 0.182 0.302
Ag 0.752 0.636 0.999
Ag 0.259 0.364 0.001
S 0.875 0.330 0.893
S 0.134 0.675 0.111
S 0.922 0.867 0.896
S 0.088 0.135 0.103
S 0.751 0.219 0.356
S 0.238 0.784 0.636
S 0.808 0.706 0.339
S 0.168 0.288 0.663
S 0.674 0.060 0.645
S 0.332 0.948 0.365
S 0.682 0.520 0.652
S 0.319 0.467 0.342
S 0.581 0.932 0.109
S 0.429 0.071 0.890
S 0.631 0.386 0.109
S 0.377 0.617 0.893
```

Output
As for the crystal system: triclinic. Its space group is P1. The MP2020-corrected energy is -173.51 eV for the cell shown. The calculation puts the energy above the lowest structure with this stoichiometry at 0.185 eV per atom.

=====

(3)
VASP calculation (PBE) on a relaxed structure of Tl2C3O4. Values from VASP.

Geometry as Quantum ESPRESSO input:
```
&SYSTEM
  ibrav = 0, nat = 18, ntyp = 3
/
ATOMIC_SPECIES
Tl 204.38 Tl.upf
C 12.01 C.upf
O 16.00 O.upf
CELL_PARAMETERS angstrom
-1.174 -6.770 2.860
5.172 -5.309 0.676
2.350 0.451 7.128
ATOMIC_POSITIONS crystal
Tl 0.864 0.605 0.658
Tl 0.395 0.136 0.342
Tl 0.753 0.429 0.205
Tl 0.571 0.247 0.795
C 0.175 0.921 0.969
C 0.035 0.965 0.500
C 0.079 0.825 0.031
C 0.264 0.736 0.500
C 0.274 0.052 0.900
C 0.948 0.726 0.100
O 0.418 0.006 0.755
O 0.035 0.142 0.465
O 0.205 0.208 0.991
O 0.437 0.740 0.434
O 0.994 0.582 0.245
O 0.260 0.563 0.566
O 0.858 0.965 0.535
O 0.792 0.795 0.009
```

Output
As for the crystal system: monoclinic. Its space group is C2. The MP2020-corrected energy is -124.70 eV for the cell shown.

=====

(4)
VASP calculation (PBE) on a relaxed structure of Ge3Os2. Values from VASP.

Geometry as Quantum ESPRESSO input:
```
&SYSTEM
  ibrav = 0, nat = 40, ntyp = 2
/
ATOMIC_SPECIES
Ge 72.64 Ge.upf
Os 190.23 Os.upf
CELL_PARAMETERS angstrom
-0.710 -0.816 5.717
2.378 -8.985 -0.987
11.155 2.757 1.779
ATOMIC_POSITIONS crystal
Ge 0.600 0.105 0.368
Ge 0.100 0.395 0.132
Ge 0.900 0.105 0.632
Ge 0.400 0.395 0.868
Ge 0.400 0.895 0.632
Ge 0.900 0.605 0.868
Ge 0.100 0.895 0.368
Ge 0.600 0.605 0.132
Ge 0.909 0.066 0.178
Ge 0.409 0.434 0.322
Ge 0.591 0.066 0.822
Ge 0.091 0.434 0.678
Ge 0.091 0.934 0.822
Ge 0.591 0.566 0.678
Ge 0.409 0.934 0.178
Ge 0.909 0.566 0.322
Ge 0.542 0.713 0.427
Ge 0.042 0.787 0.073
Ge 0.958 0.713 0.573
Ge 0.458 0.787 0.927
Ge 0.458 0.287 0.573
Ge 0.958 0.213 0.927
Ge 0.042 0.287 0.427
Ge 0.542 0.213 0.073
Os 0.750 0.925 0.500
Os 0.250 0.575 0.000
Os 0.250 0.075 0.500
Os 0.750 0.425 0.000
Os 0.750 0.460 0.500
Os 0.250 0.040 0.000
Os 0.250 0.540 0.500
Os 0.750 0.960 0.000
Os 0.759 0.313 0.254
Os 0.259 0.187 0.246
Os 0.741 0.313 0.746
Os 0.241 0.187 0.754
Os 0.241 0.687 0.746
Os 0.741 0.813 0.754
Os 0.259 0.687 0.254
Os 0.759 0.813 0.246
```

Output
As for the crystal system: orthorhombic. Its space group is Pbcn. The calculation puts the energy above the lowest structure with this stoichiometry at 0.000 eV per atom.

=====

Number 1: ΔE_f -0.07 eV/atom, DFT total energy -8.669 eV for the cell shown. Number 2: ΔE_f -0.92 eV/atom, DFT total energy -165.457 eV for the cell shown. Number 3: ΔE_f -1.13 eV/atom, DFT total energy -119.204 eV for the cell shown. Number 4: ΔE_f -0.07 eV/atom, DFT total energy -293.428 eV for the cell shown.